Entry from the Materials Project database: a relaxed structure of Ca3Mg3P4O16 (PBE).

Summary:
Calculated formation energy in meV per atom: -3193
Raw total energy in eV per atom: -7.06

Cell lengths 23.1493, 10.1188, 17.3410 Å; angles 90.00, 99.99, 90.00 degrees
With the nearest neighbours (Å) after each atom.
Space group C2/c (No. 15)
Inequivalent atoms, fractional coordinates:
Ca 0.0000 0.1021 0.2500 x4  6 O 2.37-2.62
Ca 0.0679 0.1115 0.0892 x8  6 O 2.24-2.46
Ca 0.0892 0.4192 0.6088 x8  7 O 2.38-2.59
Ca 0.1583 0.0474 0.9353 x8  6 O 2.43-2.64
Ca 0.1873 0.3484 0.4334 x8  5 O 2.28-2.48
Mg 0.0000 0.4264 0.7500 x4  4 O 1.98-2.06
Mg 0.0807 0.4096 0.9490 x8  6 O 2.04-2.28
Mg 0.1073 0.1493 0.7352 x8  5 O 1.99-2.12
Mg 0.2340 0.3831 0.2249 x8  5 O 2.05-2.13
Mg 0.2369 0.1325 0.1300 x8  5 O 2.02-2.19
P 0.0015 0.3537 0.4042 x8  4 O 1.54-1.57
P 0.0267 0.1381 0.8792 x8  4 O 1.54-1.56
P 0.1381 0.4202 0.7865 x8  4 O 1.54-1.59
P 0.1632 0.1149 0.2759 x8  4 O 1.54-1.59
P 0.1845 0.1196 0.6004 x8  4 O 1.54-1.58
P 0.1944 0.3783 0.0248 x8  4 O 1.55-1.56
O 0.0111 0.4597 0.1609 x8  1 P 1.55
O 0.0123 0.2166 0.3710 x8  1 P 1.54
O 0.0204 0.2905 0.8827 x8  1 P 1.55
O 0.0335 0.0770 0.6583 x8  1 P 1.56
O 0.0497 0.0755 0.9596 x8  1 P 1.54
O 0.0529 0.4007 0.4682 x8  1 P 1.55
O 0.0557 0.3471 0.0584 x8  1 P 1.57
O 0.0725 0.0963 0.8276 x8  1 P 1.56
O 0.0809 0.3475 0.7429 x8  1 P 1.59
O 0.1009 0.1223 0.2270 x8  1 P 1.54
O 0.1227 0.4974 0.8572 x8  1 P 1.55
O 0.1433 0.2062 0.6393 x8  1 P 1.54
O 0.1521 0.2742 0.9801 x8  1 P 1.55
O 0.1571 0.4947 0.5300 x8  1 P 1.56
O 0.1580 0.0217 0.0796 x8  1 P 1.57
O 0.1589 0.4901 0.2238 x8  1 P 1.56
O 0.1644 0.1617 0.3608 x8  1 P 1.54
O 0.1823 0.0357 0.7824 x8  1 P 1.59
O 0.1830 0.3105 0.8136 x8  1 P 1.54
O 0.1996 0.1823 0.5257 x8  1 P 1.54
O 0.2075 0.1897 0.2339 x8  1 P 1.55
O 0.2223 0.3298 0.1074 x8  1 P 1.55
O 0.2444 0.0872 0.6559 x8  1 P 1.58
O 0.2441 0.4173 0.9795 x8  1 P 1.55

---

Entry from the Materials Project database: a relaxed structure of Ca4MnN4 (PBE).

Summary:
Calculated formation energy in meV per atom: -978
Raw total energy in eV per atom: -6.43

Cell lengths 11.1548, 4.9250, 10.9112 Å; angles 90.00, 90.00, 90.00 degrees
With the nearest neighbours (Å) after each atom.
Space group Pnma (No. 62)
Inequivalent atoms, fractional coordinates:
Ca 0.0594 0.2500 0.1115 x4  5 N 2.40-2.52
Ca 0.0976 0.7500 0.3148 x4  4 N 2.47-2.53
Ca 0.1291 0.7500 0.6581 x4  2 N 2.28-2.50
Ca 0.2301 0.2500 0.4741 x4  4 N 2.33-2.54
Mn 0.1316 0.2500 0.8494 x4  3 N 1.69-1.80
N 0.0133 0.7500 0.1060 x4  1 Mn 1.69
N 0.0752 0.2500 0.3307 x4  5 Ca 2.28-2.48
N 0.1764 0.2500 0.7008 x4  1 Mn 1.70
N 0.2371 0.2500 0.9738 x4  1 Mn 1.80

---

Entry from the Materials Project database: a relaxed structure of Sr19Cu19O41 (PBE).

Summary:
Calculated formation energy in meV per atom: -2025
Raw total energy in eV per atom: -5.63

Cell lengths 5.5688, 105.9855, 3.5695 Å; angles 90.00, 90.00, 90.00 degrees
With the nearest neighbours (Å) after each atom.
Space group Cmmm (No. 65)
Inequivalent atoms, fractional coordinates:
Sr 0.0000 0.0000 0.0000 x2  10 O 2.67-2.78
Sr 0.0000 0.0535 0.0000 x4  9 O 2.61-2.71
Sr 0.0000 0.1043 0.0000 x4  9 O 2.60-2.73
Sr 0.0000 0.1579 0.0000 x4  8 O 2.65-2.66
Sr 0.0000 0.2105 0.0000 x4  8 O 2.66
Sr 0.0000 0.2631 0.0000 x4  8 O 2.66
Sr 0.0000 0.3158 0.0000 x4  8 O 2.66
Sr 0.0000 0.3686 0.0000 x4  8 O 2.64-2.67
Sr 0.0000 0.4211 0.0000 x4  10 O 2.67-2.78
Sr 0.0000 0.4747 0.0000 x4  9 O 2.61-2.72
Cu 0.0000 0.0270 0.5000 x4  4 O 1.85-1.92
Cu 0.0000 0.0790 0.5000 x4  2 O 1.78
Cu 0.0000 0.1315 0.5000 x4  4 O 1.95-1.96
Cu 0.0000 0.1842 0.5000 x4  4 O 1.97
Cu 0.0000 0.2368 0.5000 x4  4 O 1.97
Cu 0.0000 0.2895 0.5000 x4  4 O 1.97
Cu 0.0000 0.3422 0.5000 x4  4 O 1.98
Cu 0.0000 0.3942 0.5000 x4  4 O 1.86-1.95
Cu 0.0000 0.4480 0.5000 x4  4 O 1.86-1.92
Cu 0.0000 0.5000 0.5000 x2  2 O 1.78
O 0.0000 0.0789 0.0000 x4  2 Cu 1.78
O 0.0000 0.5000 0.0000 x2  2 Cu 1.78
O 0.2299 0.0143 0.5000 x8  1 Cu 1.85
O 0.2299 0.4354 0.5000 x8  1 Cu 1.86
O 0.2327 0.4068 0.5000 x8  1 Cu 1.86
O 0.2475 0.1447 0.5000 x8  2 Cu 1.96-1.98
O 0.2502 0.0395 0.5000 x8  2 Cu 1.92
O 0.2501 0.1187 0.5000 x8  2 Cu 1.95
O 0.2503 0.1711 0.5000 x8  2 Cu 1.97-1.98
O 0.2502 0.1974 0.5000 x8  2 Cu 1.97
O 0.2500 0.2237 0.5000 x8  2 Cu 1.97
O 0.2500 0.2500 0.5000 x4  2 Cu 1.97

---

Entry from the Materials Project database: a relaxed structure of GdAl2Ge2 (PBE).

Summary:
Calculated formation energy in meV per atom: -435
Raw total energy in eV per atom: -6.60

Cell lengths 4.2774, 4.2774, 6.6740 Å; angles 90.00, 90.00, 120.00 degrees
With the nearest neighbours (Å) after each atom.
Space group P-3m1 (No. 164)
Inequivalent atoms, fractional coordinates:
Gd 0.0000 0.0000 0.0000 x1  6 Ge 3.02
Al 0.3333 0.6667 0.6435 x2  4 Ge 2.55-2.56
Ge 0.3333 0.6667 0.2600 x2  4 Al 2.55-2.56